(1)
First-principles (PBE with a Hubbard U) data for crystalline NdCrO3 at its relaxed geometry, as listed in Materials Project.

a b c (Å): 5.6240 7.8207 5.4788
angles (deg): 90.00 90.00 90.00
Space group Pnma (No. 62)
Symmetry-distinct sites (fractional):
Nd1 0.0512 0.2500 0.0132
Cr1 0.0000 0.0000 0.5000
O1 0.0263 0.7500 0.4087
O2 0.2078 0.5488 0.7928

Values from the calculation:
ΔE_f: -3.14 eV/atom

=====

(2)
First-principles (PBE with a Hubbard U) data for crystalline Sr4LaCo5O15 at its relaxed geometry, as listed in Materials Project.

a b c (Å): 16.5154 5.4584 6.7089
angles (deg): 90.00 106.04 90.00
Space group C2/m (No. 12)
Symmetry-distinct sites (fractional):
Sr1 0.0996 0.0000 0.4001
Sr2 0.2002 0.5000 0.8022
La1 0.0000 0.5000 0.0000
Co1 0.0000 0.5000 0.5000
Co2 0.1006 0.0000 0.9001
Co3 0.2018 0.5000 0.3003
O1 0.0000 0.0000 0.0000
O2 0.0506 0.2516 0.7127
O3 0.0941 0.5000 0.4008
O4 0.1455 0.2544 0.1019
O5 0.2004 0.0000 0.8063
O6 0.2500 0.2500 0.5000

Values from the calculation:
ΔE_f: -2.10 eV/atom

=====

(3)
First-principles (PBE with a Hubbard U) data for crystalline Li9Mn7O16 at its relaxed geometry, as listed in Materials Project.

a b c (Å): 5.4581 2.8691 39.3387
angles (deg): 90.00 92.17 90.00
Space group C2/m (No. 12)
Symmetry-distinct sites (fractional):
Li1 0.0000 0.0000 0.0000
Li2 0.0624 0.0000 0.8128
Li3 0.0627 0.5000 0.3125
Li4 0.1805 0.5000 0.9410
Li5 0.1876 0.0000 0.4375
Mn1 0.0000 0.5000 0.5000
Mn2 0.1250 0.0000 0.6250
Mn3 0.1283 0.5000 0.1249
Mn4 0.2502 0.0000 0.2500
O1 0.0138 0.5000 0.4040
O2 0.0216 0.0000 0.9022
O3 0.1113 0.0000 0.7208
O4 0.1107 0.5000 0.2213
O5 0.1386 0.0000 0.5290
O6 0.1521 0.5000 0.0315
O7 0.2332 0.5000 0.8458
O8 0.2364 0.0000 0.3461

Values from the calculation:
ΔE_f: -2.05 eV/atom

=====

(4)
First-principles (PBE with a Hubbard U) data for crystalline Mg14ZnCrO16 at its relaxed geometry, as listed in Materials Project.

a b c (Å): 8.5530 8.5530 4.2712
angles (deg): 90.00 90.00 90.00
Space group P4/mmm (No. 123)
Symmetry-distinct sites (fractional):
Mg1 0.0000 0.2501 0.0000
Mg2 0.0000 0.5000 0.5000
Mg3 0.2484 0.5000 0.0000
Mg4 0.2494 0.2494 0.5000
Zn1 0.0000 0.0000 0.5000
Cr1 0.5000 0.5000 0.5000
O1 0.0000 0.0000 0.0000
O2 0.0000 0.2530 0.5000
O3 0.0000 0.5000 0.0000
O4 0.2438 0.5000 0.5000
O5 0.2500 0.2500 0.0000
O6 0.5000 0.5000 0.0000

Values from the calculation:
ΔE_f: -2.87 eV/atom

=====

(5)
First-principles (PBE with a Hubbard U) data for crystalline CaV3O7 at its relaxed geometry, as listed in Materials Project.

a b c (Å): 10.9066 10.4478 5.3796
angles (deg): 90.00 90.00 90.00
Space group Pnma (No. 62)
Symmetry-distinct sites (fractional):
Ca1 0.0789 0.2500 0.1807
V1 0.1882 0.5243 0.6984
V2 0.2162 0.7500 0.1903
O1 0.0451 0.5772 0.7170
O2 0.0640 0.7500 0.1758
O3 0.2170 0.1187 0.4574
O4 0.2217 0.1192 0.9327

Values from the calculation:
ΔE_f: -2.71 eV/atom

=====

(6)
First-principles (PBE with a Hubbard U) data for crystalline Li9Mn2Co5O16 at its relaxed geometry, as listed in Materials Project.

a b c (Å): 5.0746 7.7293 7.8309
angles (deg): 97.24 101.50 104.26
Space group P1 (No. 1)
Symmetry-distinct sites (fractional):
Li1 0.0000 0.0000 0.0000
Li2 0.0008 0.8772 0.6329
Li3 0.0025 0.7531 0.2672
Li4 0.0097 0.5117 0.5099
Li5 0.4916 0.1197 0.8759
Li6 0.5027 0.3754 0.6331
Li7 0.5044 0.8766 0.1354
Li8 0.5150 0.6328 0.3904
Li9 0.9968 0.2385 0.7550
Mn1 0.0007 0.6285 0.8798
Mn2 0.0033 0.1232 0.3888
Co1 0.0025 0.3752 0.1347
Co2 0.4934 0.9882 0.5169
Co3 0.5011 0.7556 0.7589
Co4 0.5025 0.4995 0.0073
Co5 0.5037 0.2519 0.2624
O1 0.2323 0.6141 0.1132
O2 0.2417 0.3649 0.3739
O3 0.2429 0.1281 0.6110
O4 0.2492 0.0213 0.2653
O5 0.2528 0.5240 0.7689
O6 0.2553 0.8577 0.8798
O7 0.2664 0.2652 0.0129
O8 0.2711 0.7583 0.5036
O9 0.7248 0.9864 0.7571
O10 0.7390 0.4874 0.2528
O11 0.7575 0.6328 0.6618
O12 0.7591 0.2337 0.4979
O13 0.7629 0.7307 0.0040
O14 0.7625 0.8930 0.3816
O15 0.7670 0.3891 0.8921
O16 0.7737 0.1385 0.1517

Values from the calculation:
ΔE_f: -1.83 eV/atom

=====

(7)
First-principles (PBE with a Hubbard U) data for crystalline MnOF at its relaxed geometry, as listed in Materials Project.

a b c (Å): 4.6651 7.6395 7.6686
angles (deg): 84.79 88.62 89.05
Space group P1 (No. 1)
Symmetry-distinct sites (fractional):
Mn1 0.0000 0.0000 0.0000
Mn2 0.0008 0.4762 0.4851
Mn3 0.0181 0.0911 0.5796
Mn4 0.4212 0.8272 0.3472
Mn5 0.4688 0.2263 0.2311
Mn6 0.4736 0.7449 0.7586
Mn7 0.5539 0.3389 0.8394
Mn8 0.9729 0.5969 0.0823
O1 0.1848 0.6318 0.3032
O2 0.1953 0.7802 0.9507
O3 0.2288 0.2681 0.4319
O4 0.2368 0.0249 0.1969
O5 0.2500 0.8752 0.5665
O6 0.7169 0.5638 0.8914
O7 0.7236 0.1936 0.0245
O8 0.7965 0.2983 0.6329
F1 0.2463 0.3882 0.0367
F2 0.2722 0.1401 0.8066
F3 0.2891 0.4991 0.6957
F4 0.6988 0.8037 0.1483
F5 0.7021 0.0245 0.3934
F6 0.7141 0.6717 0.5302
F7 0.7303 0.4324 0.2587
F8 0.7802 0.9547 0.7744

Values from the calculation:
ΔE_f: -2.32 eV/atom

=====

(8)
First-principles (PBE with a Hubbard U) data for crystalline Fe10O9F11 at its relaxed geometry, as listed in Materials Project.

a b c (Å): 4.7469 4.7601 15.6054
angles (deg): 89.77 89.85 88.36
Space group P1 (No. 1)
Symmetry-distinct sites (fractional):
Fe1 0.0000 0.0000 0.0000
Fe2 0.0021 0.0234 0.6035
Fe3 0.0036 0.0111 0.8006
Fe4 0.0199 0.0437 0.2029
Fe5 0.5126 0.5835 0.8970
Fe6 0.5269 0.5405 0.3057
Fe7 0.5455 0.5521 0.5032
Fe8 0.5631 0.5034 0.0923
Fe9 0.5744 0.5237 0.7010
Fe10 0.9978 0.0033 0.3871
O1 0.2010 0.8493 0.9021
O2 0.2183 0.8287 0.2939
O3 0.7099 0.7180 0.0001
O4 0.7097 0.7200 0.4002
O5 0.7157 0.7083 0.5986
O6 0.7155 0.7251 0.8014
O7 0.8177 0.2294 0.2958
O8 0.8388 0.2169 0.7072
O9 0.8429 0.2068 0.0998
F1 0.2108 0.8323 0.4937
F2 0.2297 0.8157 0.1007
F3 0.2331 0.8121 0.7061
F4 0.3181 0.3289 0.4009
F5 0.3235 0.3299 0.0006
F6 0.3275 0.3355 0.8038
F7 0.3382 0.3321 0.5969
F8 0.3377 0.3363 0.1944
F9 0.7195 0.7153 0.1956
F10 0.8094 0.2326 0.9034
F11 0.8223 0.2179 0.4906

Values from the calculation:
ΔE_f: -2.08 eV/atom

=====

(9)
First-principles (PBE with a Hubbard U) data for crystalline Li3V3P8O29 at its relaxed geometry, as listed in Materials Project.

a b c (Å): 9.7488 9.7575 14.2941
angles (deg): 90.23 90.07 119.79
Space group P1 (No. 1)
Symmetry-distinct sites (fractional):
Li1 0.0000 0.0000 0.0000
Li2 0.0018 0.5557 0.4978
Li3 0.5706 0.5671 0.5428
Li4 0.5817 0.1402 0.9989
Li5 0.8867 0.1725 0.4428
Li6 0.9471 0.2925 0.9477
V1 0.3374 0.2297 0.6879
V2 0.3431 0.6700 0.1886
V3 0.4671 0.2299 0.1991
V4 0.4721 0.7990 0.6945
V5 0.9059 0.6632 0.6968
V6 0.9057 0.7934 0.1926
P1 0.1239 0.1460 0.2868
P2 0.1318 0.5354 0.7847
P3 0.2128 0.3157 0.1041
P4 0.2150 0.4531 0.6008
P5 0.2354 0.8920 0.5733
P6 0.2412 0.9026 0.0742
P7 0.5698 0.5622 0.8087
P8 0.5724 0.5667 0.3081
P9 0.5957 0.1490 0.7829
P10 0.6010 0.0073 0.2860
P11 0.6850 0.9265 0.1015
P12 0.6887 0.3196 0.6006
P13 0.8149 0.9204 0.6035
P14 0.8171 0.4483 0.1038
P15 0.9936 0.0075 0.7832
P16 0.9970 0.5449 0.2830
O1 0.0830 0.7475 0.6144
O2 0.0897 0.9029 0.1118
O3 0.0996 0.2125 0.3735
O4 0.1081 0.4429 0.8706
O5 0.1095 0.2375 0.1970
O6 0.1122 0.2303 0.0215
O7 0.1143 0.4285 0.6950
O8 0.1155 0.4452 0.5203
O9 0.1647 0.1467 0.7683
O10 0.1677 0.5769 0.2692
O11 0.2370 0.8855 0.4701
O12 0.2423 0.7563 0.1204
O13 0.2469 0.0460 0.6166
O14 0.2487 0.9079 0.9704
O15 0.2519 0.3141 0.6036
O16 0.2568 0.4921 0.1087
O17 0.2864 0.1508 0.2740
O18 0.2913 0.6891 0.7727
O19 0.3662 0.3071 0.1164
O20 0.3740 0.8813 0.6234
O21 0.3786 0.6055 0.6112
O22 0.3900 0.0485 0.1189
O23 0.4273 0.4155 0.7601
O24 0.4282 0.5684 0.2641
O25 0.4393 0.1487 0.7640
O26 0.4459 0.8476 0.2709
O27 0.5248 0.7701 0.1128
O28 0.5323 0.3268 0.6093
O29 0.5572 0.1408 0.2719
O30 0.5632 0.9760 0.7702
O31 0.5711 0.4163 0.2667
O32 0.5709 0.7092 0.7637
O33 0.5734 0.5602 0.9118
O34 0.5775 0.5690 0.4120
O35 0.6383 0.8798 0.6099
O36 0.6408 0.3149 0.1087
O37 0.6704 0.2139 0.8751
O38 0.6928 0.0293 0.3718
O39 0.6941 0.0263 0.0207
O40 0.7092 0.2379 0.5197
O41 0.7099 0.0256 0.1966
O42 0.7108 0.2475 0.6989
O43 0.7217 0.5667 0.7628
O44 0.7233 0.7104 0.2636
O45 0.8101 0.7591 0.6124
O46 0.8212 0.8866 0.1020
O47 0.8264 0.4971 0.6045
O48 0.8271 0.6122 0.1140
O49 0.8926 0.0206 0.6994
O50 0.8952 0.4280 0.1997
O51 0.8962 0.4272 0.0213
O52 0.8965 0.0186 0.5219
O53 0.9280 0.4764 0.3749
O54 0.9294 0.0146 0.8759
O55 0.9932 0.9702 0.2689
O56 0.9947 0.8501 0.7654
O57 0.9964 0.5772 0.7709
O58 0.9984 0.7041 0.2639

Values from the calculation:
ΔE_f: -2.52 eV/atom

=====

(10)
First-principles (PBE with a Hubbard U) data for crystalline La2MnPbO9 at its relaxed geometry, as listed in Materials Project.

a b c (Å): 5.2938 5.2938 6.8011
angles (deg): 90.00 90.00 120.00
Space group P3m1 (No. 156)
Symmetry-distinct sites (fractional):
La1 0.0000 0.0000 0.0000
La2 0.3333 0.6667 0.6621
Mn1 0.3333 0.6667 0.1685
Pb1 0.6667 0.3333 0.3919
O1 0.0155 0.5078 0.9851
O2 0.1685 0.3369 0.3252
O3 0.3296 0.1648 0.6636

Values from the calculation:
ΔE_f: -1.86 eV/atom

=====

(11)
First-principles (PBE with a Hubbard U) data for crystalline Mn3O2F4 at its relaxed geometry, as listed in Materials Project.

a b c (Å): 5.7346 5.8011 7.2875
angles (deg): 74.32 73.88 73.99
Space group P1 (No. 1)
Symmetry-distinct sites (fractional):
Mn1 0.0000 0.0000 0.0000
Mn2 0.0126 0.9743 0.4948
Mn3 0.3153 0.3340 0.1653
Mn4 0.3303 0.3530 0.6599
Mn5 0.6236 0.6643 0.3284
Mn6 0.6726 0.6852 0.8498
O1 0.1026 0.0921 0.2010
O2 0.2974 0.6852 0.4952
O3 0.5359 0.5696 0.1326
O4 0.9102 0.8965 0.7965
F1 0.2345 0.2311 0.4625
F2 0.3572 0.9968 0.8253
F3 0.4333 0.4551 0.8648
F4 0.6362 0.0363 0.1603
F5 0.7082 0.2759 0.5016
F6 0.7411 0.7494 0.5386
F7 0.9645 0.3628 0.8347
F8 0.9889 0.6358 0.1770

Values from the calculation:
ΔE_f: -2.52 eV/atom

=====

ΔE_f of number 2 (Sr4LaCo5O15)?
-2.10 eV/atom

=====

Look up the ΔE_f of the eighth one.
-2.08 eV/atom

=====

Which of these has the highest ΔE_f?
Li9Mn2Co5O16

=====

Copy entry 2 word for word.
First-principles (PBE with a Hubbard U) data for crystalline Sr4LaCo5O15 at its relaxed geometry, as listed in Materials Project.

a b c (Å): 16.5154 5.4584 6.7089
angles (deg): 90.00 106.04 90.00
Space group C2/m (No. 12)
Symmetry-distinct sites (fractional):
Sr1 0.0996 0.0000 0.4001
Sr2 0.2002 0.5000 0.8022
La1 0.0000 0.5000 0.0000
Co1 0.0000 0.5000 0.5000
Co2 0.1006 0.0000 0.9001
Co3 0.2018 0.5000 0.3003
O1 0.0000 0.0000 0.0000
O2 0.0506 0.2516 0.7127
O3 0.0941 0.5000 0.4008
O4 0.1455 0.2544 0.1019
O5 0.2004 0.0000 0.8063
O6 0.2500 0.2500 0.5000

Values from the calculation:
ΔE_f: -2.10 eV/atom